VASP calculation (PBE) on RuAu3 after structural relaxation.

Energy: -35.1 eV for the cell shown
Calculated formation energy: 1.56 eV/f.u.

The structure in CIF format:
```
data_RuAu3
_chemical_formula_sum 'Ru2 Au6'
_symmetry_space_group_name_H-M 'P 1'
_symmetry_Int_Tables_number 1
_cell_length_a 5.845
_cell_length_b 5.845
_cell_length_c 4.705
_cell_angle_alpha 90.00
_cell_angle_beta 90.00
_cell_angle_gamma 120.00
loop_
_symmetry_equiv_pos_as_xyz
'x,y,z'
loop_
_atom_site_label
_atom_site_type_symbol
_atom_site_fract_x
_atom_site_fract_y
_atom_site_fract_z
_atom_site_occupancy
Au1 Au 0.831 0.662 0.750 1
Au2 Au 0.169 0.338 0.250 1
Au3 Au 0.338 0.169 0.750 1
Au4 Au 0.831 0.169 0.750 1
Au5 Au 0.169 0.831 0.250 1
Ru1 Ru 0.667 0.333 0.250 1
Au6 Au 0.662 0.831 0.250 1
Ru2 Ru 0.333 0.667 0.750 1
```